[1]
# SrCo6O11

An optimized crystal structure of SrCo6O11 (GGA+U, the Materials Project).

The space group is P6_3/mmc (No. 194) and the conventional cell measures 5.6392, 5.6392 and 12.8179 Å, with angles of 90.00, 90.00 and 120.00 degrees. The distinct sites, in fractional coordinates, are Sr at (0.3333, 0.6667, 0.2500), Co at (0.0000, 0.0000, 0.1491), Co at (0.0000, 0.5000, 0.0000), Co at (0.3333, 0.6667, 0.7500), O at (0.1431, 0.2862, 0.7500), O at (0.1756, 0.3512, 0.0790) and O at (0.3333, 0.6667, 0.5783).

The value obtained for the calculated total energy is -216.3 eV per cell. As for the formation energy: -1.487 eV/atom.

[2]
# MnAgO3

An optimized crystal structure of MnAgO3 (GGA+U, the Materials Project).

The space group is R-3 (No. 148, hexagonal axes) and the conventional cell measures 5.1478, 5.1478 and 15.3791 Å, with angles of 90.00, 90.00 and 120.00 degrees. The distinct sites, in fractional coordinates, are Mn at (0.0000, 0.0000, 0.1619), Ag at (0.0000, 0.0000, 0.3618) and O at (0.0097, 0.3842, 0.4303).

Its total moment is 2.00 μB/f.u. The value obtained for the calculated total energy is -174.4 eV per cell. As for the formation energy: -1.191 eV/atom.

[3]
# LiFeF4

An optimized crystal structure of LiFeF4 (GGA+U, the Materials Project).

The space group is P1 (No. 1) and the conventional cell measures 4.9464, 6.0908 and 6.2117 Å, with angles of 60.66, 70.88 and 89.75 degrees. The distinct sites, in fractional coordinates, are Li at (0.0000, 0.0000, 0.0000), Li at (0.4947, 0.5028, 0.0018), Fe at (0.2465, 0.6698, 0.5042), Fe at (0.7483, 0.3388, 0.5029), F at (0.1652, 0.5083, 0.2941), F at (0.1819, 0.9737, 0.2507), F at (0.3066, 0.7297, 0.7538), F at (0.3317, 0.3025, 0.7152), F at (0.6639, 0.7085, 0.2945), F at (0.6846, 0.2861, 0.2506), F at (0.8106, 0.0311, 0.7532) and F at (0.8305, 0.4966, 0.7139).

Its total moment is 5.00 μB/f.u. For the distance to the lowest polymorph of the same formula, the calculation gives 51.1 meV per atom. The value obtained for the calculated total energy is -61.1 eV per cell. As for the formation energy: -2.773 eV/atom.

calculated total energy of number 3 (LiFeF4)?
-61.1 eV per cell